[1]
Compound: NbCo3
Source: the Materials Project database
Functional: PBE
Structure: relaxed

a b c (Å): 3.6542 3.6542 3.6542
angles (deg): 90.00 90.00 90.00
Closest atoms and distances in Å follow each position.
Sites, in units of the cell vectors:
Co 0.0000 0.5000 0.5000  8 Co 2.58, 4 Nb 2.58
Co 0.5000 0.0000 0.5000  8 Co 2.58, 4 Nb 2.58
Co 0.5000 0.5000 0.0000  8 Co 2.58, 4 Nb 2.58
Nb 0.0000 0.0000 0.0000  12 Co 2.58

Symmetry = Pm-3m


[2]
Compound: SmB2Ru3
Source: the Materials Project database
Functional: PBE
Structure: relaxed

a b c (Å): 3.0449 5.5456 5.5456
angles (deg): 120.00 90.00 90.00
Closest atoms and distances in Å follow each position.
Sites, in units of the cell vectors:
Ru 0.5000 0.0000 0.5000  4 B 2.21
Ru 0.5000 0.5000 0.5000  4 B 2.21
Ru 0.5000 0.5000 0.0000  4 B 2.21
B 0.0000 0.6667 0.3333  6 Ru 2.21
B 0.0000 0.3333 0.6667  6 Ru 2.21
Sm 0.0000 0.0000 0.0000  2 Sm 3.04, 12 Ru 3.16, 6 B 3.20

Symmetry = P6/mmm


| no. | energy of formation (eV per atom) | final energy (eV for the cell shown) |
| --- | --- | --- |
| 1 | -0.144 | -32.00 |
| 2 | -0.436 | -48.52 |